# 1
Entry from the Materials Project database: K2SbF5 after structural relaxation (PBE).

a = 7.308 Å, b = 7.364 Å, c = 13.000 Å
α = 64.00°, β = 90.00°, γ = 90.00°
Sites, in units of the cell vectors:
K 0.755 0.061 0.439
K 0.753 0.498 0.093
K 0.255 0.939 0.061
K 0.745 0.061 0.939
K 0.247 0.502 0.907
K 0.253 0.502 0.407
K 0.747 0.498 0.593
K 0.245 0.939 0.561
Sb 0.755 0.814 0.254
Sb 0.245 0.186 0.746
Sb 0.745 0.814 0.754
Sb 0.255 0.186 0.246
F 0.929 0.791 0.634
F 0.961 0.749 0.383
F 0.941 0.798 0.133
F 0.039 0.251 0.617
F 0.441 0.202 0.367
F 0.539 0.749 0.883
F 0.239 0.483 0.688
F 0.429 0.209 0.866
F 0.461 0.251 0.117
F 0.071 0.209 0.366
F 0.059 0.202 0.867
F 0.559 0.798 0.633
F 0.571 0.791 0.134
F 0.261 0.483 0.188
F 0.739 0.517 0.812
F 0.450 0.261 0.616
F 0.950 0.739 0.884
F 0.761 0.517 0.312
F 0.050 0.261 0.116
F 0.550 0.739 0.384

Computed properties:
Volume, Å³ per atom: 19.7
DFT formation energy, eV/atom: -2.880

***

# 2
Entry from the Materials Project database: KNaH12CO9 after structural relaxation (PBE).

a = 8.647 Å, b = 11.908 Å, c = 11.452 Å
α = 90.00°, β = 124.89°, γ = 90.00°
Sites, in units of the cell vectors:
K 0.982 0.592 0.839
K 0.018 0.092 0.661
K 0.018 0.408 0.161
K 0.982 0.908 0.339
Na 0.811 0.586 0.381
Na 0.189 0.086 0.119
Na 0.189 0.414 0.619
Na 0.811 0.914 0.881
H 0.618 0.600 0.533
H 0.382 0.100 0.967
H 0.382 0.400 0.467
H 0.618 0.900 0.033
H 0.689 0.478 0.537
H 0.311 0.978 0.963
H 0.311 0.522 0.463
H 0.689 0.022 0.037
H 0.325 0.562 0.153
H 0.675 0.062 0.347
H 0.675 0.438 0.847
H 0.325 0.938 0.653
H 0.212 0.643 0.190
H 0.788 0.143 0.310
H 0.788 0.357 0.810
H 0.212 0.857 0.690
H 0.622 0.793 0.359
H 0.378 0.293 0.141
H 0.378 0.207 0.641
H 0.622 0.707 0.859
H 0.587 0.789 0.208
H 0.413 0.289 0.292
H 0.413 0.211 0.792
H 0.587 0.711 0.708
H 0.838 0.340 0.342
H 0.162 0.840 0.158
H 0.162 0.660 0.658
H 0.838 0.160 0.842
H 0.789 0.355 0.455
H 0.211 0.855 0.045
H 0.211 0.645 0.545
H 0.789 0.145 0.955
H 0.793 0.654 0.134
H 0.207 0.154 0.366
H 0.207 0.346 0.866
H 0.793 0.846 0.634
H 0.013 0.668 0.250
H 0.987 0.168 0.250
H 0.987 0.332 0.750
H 0.013 0.832 0.750
H 0.524 0.581 0.094
H 0.476 0.081 0.406
H 0.476 0.419 0.906
H 0.524 0.919 0.594
H 0.533 0.453 0.132
H 0.467 0.953 0.368
H 0.467 0.547 0.868
H 0.533 0.047 0.632
C 0.373 0.748 0.926
C 0.627 0.248 0.574
C 0.627 0.252 0.074
C 0.373 0.752 0.426
O 0.409 0.829 0.015
O 0.591 0.329 0.485
O 0.591 0.171 0.985
O 0.409 0.671 0.515
O 0.209 0.742 0.804
O 0.791 0.242 0.696
O 0.791 0.258 0.196
O 0.209 0.758 0.304
O 0.504 0.674 0.959
O 0.496 0.174 0.541
O 0.496 0.326 0.041
O 0.504 0.826 0.459
O 0.727 0.558 0.548
O 0.273 0.058 0.952
O 0.273 0.442 0.452
O 0.727 0.942 0.048
O 0.197 0.581 0.127
O 0.803 0.081 0.373
O 0.803 0.419 0.873
O 0.197 0.919 0.627
O 0.683 0.774 0.311
O 0.317 0.274 0.189
O 0.317 0.226 0.689
O 0.683 0.726 0.811
O 0.875 0.381 0.431
O 0.125 0.881 0.069
O 0.125 0.619 0.569
O 0.875 0.119 0.931
O 0.903 0.618 0.217
O 0.097 0.118 0.283
O 0.097 0.382 0.783
O 0.903 0.882 0.717
O 0.528 0.530 0.164
O 0.472 0.030 0.336
O 0.472 0.470 0.836
O 0.528 0.970 0.664

Computed properties:
Volume, Å³ per atom: 10.1
DFT formation energy, eV/atom: -1.476

***

# 3
Entry from the Materials Project database: Al5CuMo2 after structural relaxation (PBE).

a = 3.770 Å, b = 3.770 Å, c = 8.265 Å
α = 90.00°, β = 90.00°, γ = 90.00°
Sites, in units of the cell vectors:
Al 0.000 0.500 0.262
Al 0.500 0.000 0.738
Al 0.500 0.000 0.262
Al 0.000 0.500 0.738
Al 0.500 0.500 0.000
Cu 0.000 0.000 0.500
Mo 0.000 0.000 0.000
Mo 0.500 0.500 0.500

Computed properties:
Volume, Å³ per atom: 14.7
DFT formation energy, eV/atom: -0.276

***

# 4
Entry from the Materials Project database: WN2 after structural relaxation (PBE).

a = 2.934 Å, b = 2.934 Å, c = 7.804 Å
α = 90.00°, β = 90.00°, γ = 120.00°
Sites, in units of the cell vectors:
W 0.667 0.333 0.250
W 0.333 0.667 0.750
N 0.000 0.000 0.410
N 0.000 0.000 0.590
N 0.000 0.000 0.910
N 0.000 0.000 0.090

Computed properties:
Volume, Å³ per atom: 9.7
DFT formation energy, eV/atom: -0.508

***

# 5
Entry from the Materials Project database: InP2H4NO8 after structural relaxation (PBE).

a = 8.443 Å, b = 9.796 Å, c = 9.822 Å
α = 63.62°, β = 90.00°, γ = 90.00°
Sites, in units of the cell vectors:
In 0.629 0.492 0.742
In 0.129 0.008 0.258
In 0.371 0.508 0.258
In 0.871 0.992 0.742
P 0.676 0.328 0.508
P 0.176 0.172 0.492
P 0.324 0.672 0.492
P 0.824 0.828 0.508
P 0.564 0.730 0.907
P 0.064 0.770 0.093
P 0.436 0.270 0.093
P 0.936 0.230 0.907
H 0.492 0.044 0.814
H 0.992 0.456 0.186
H 0.508 0.956 0.186
H 0.008 0.544 0.814
H 0.383 0.087 0.938
H 0.883 0.413 0.062
H 0.617 0.913 0.062
H 0.117 0.587 0.938
H 0.354 0.184 0.752
H 0.854 0.316 0.248
H 0.646 0.816 0.248
H 0.146 0.684 0.752
H 0.300 0.000 0.841
H 0.800 0.500 0.159
H 0.700 0.000 0.159
H 0.200 0.500 0.841
N 0.383 0.078 0.837
N 0.883 0.422 0.163
N 0.617 0.922 0.163
N 0.117 0.578 0.837
O 0.584 0.350 0.631
O 0.084 0.150 0.369
O 0.416 0.650 0.369
O 0.916 0.850 0.631
O 0.582 0.383 0.359
O 0.082 0.117 0.641
O 0.418 0.617 0.641
O 0.918 0.883 0.359
O 0.726 0.159 0.560
O 0.226 0.341 0.440
O 0.274 0.841 0.440
O 0.774 0.659 0.560
O 0.845 0.401 0.477
O 0.345 0.099 0.523
O 0.155 0.599 0.523
O 0.655 0.901 0.477
O 0.652 0.885 0.854
O 0.152 0.615 0.146
O 0.348 0.115 0.146
O 0.848 0.385 0.854
O 0.525 0.674 0.079
O 0.025 0.826 0.921
O 0.475 0.326 0.921
O 0.975 0.174 0.079
O 0.663 0.616 0.877
O 0.163 0.884 0.123
O 0.337 0.384 0.123
O 0.837 0.116 0.877
O 0.392 0.752 0.845
O 0.892 0.748 0.155
O 0.608 0.248 0.155
O 0.108 0.252 0.845

Computed properties:
Volume, Å³ per atom: 11.4
DFT formation energy, eV/atom: -1.663

***

# 6
Entry from the Materials Project database: Na6Y5Nb3P12O48 after structural relaxation (PBE).

a = 18.187 Å, b = 9.092 Å, c = 23.383 Å
α = 90.05°, β = 89.95°, γ = 119.95°
Sites, in units of the cell vectors:
Na 0.681 0.370 0.250
Na 0.003 0.636 0.251
Na 0.001 0.369 0.748
Na 0.501 0.369 0.748
Na 0.182 0.993 0.747
Na 0.682 0.994 0.748
Na 0.000 0.000 0.504
Na 0.500 0.000 0.504
Na 0.998 0.997 0.005
Na 0.502 0.005 0.004
Na 0.333 0.346 0.836
Na 0.833 0.345 0.837
Na 0.333 0.333 0.338
Na 0.833 0.320 0.337
Na 0.173 0.664 0.169
Na 0.668 0.685 0.169
Na 0.175 0.666 0.662
Na 0.674 0.666 0.662
Y 0.998 0.996 0.644
Y 0.498 0.996 0.644
Y 0.998 0.002 0.146
Y 0.500 0.000 0.145
Y 0.333 0.343 0.680
Y 0.833 0.343 0.680
Y 0.833 0.321 0.182
Y 0.333 0.331 0.980
Y 0.834 0.333 0.982
Y 0.333 0.332 0.482
Y 0.834 0.334 0.481
Y 0.172 0.669 0.315
Y 0.666 0.673 0.316
Y 0.171 0.666 0.818
Y 0.671 0.667 0.818
Nb 0.002 0.005 0.355
Nb 0.497 0.996 0.354
Nb 0.998 0.997 0.857
Nb 0.499 0.997 0.856
Nb 0.334 0.335 0.185
Nb 0.168 0.669 0.019
Nb 0.665 0.663 0.017
Nb 0.166 0.667 0.516
Nb 0.666 0.668 0.515
P 0.147 0.010 0.250
P 0.644 0.005 0.252
P 0.358 0.704 0.249
P 0.856 0.708 0.252
P 0.998 0.290 0.252
P 0.494 0.283 0.250
P 0.143 0.283 0.753
P 0.643 0.283 0.753
P 0.999 0.709 0.754
P 0.499 0.709 0.754
P 0.356 0.005 0.753
P 0.856 0.004 0.753
P 0.487 0.343 0.582
P 0.987 0.344 0.582
P 0.185 0.026 0.582
P 0.685 0.027 0.582
P 0.328 0.632 0.579
P 0.828 0.631 0.579
P 0.481 0.618 0.083
P 0.986 0.632 0.082
P 0.328 0.037 0.083
P 0.829 0.024 0.079
P 0.191 0.346 0.083
P 0.684 0.340 0.082
P 0.317 0.677 0.918
P 0.816 0.676 0.918
P 0.023 0.370 0.916
P 0.522 0.367 0.915
P 0.162 0.955 0.916
P 0.662 0.956 0.916
P 0.316 0.956 0.416
P 0.817 0.956 0.416
P 0.162 0.368 0.416
P 0.662 0.368 0.413
P 0.023 0.676 0.413
P 0.521 0.675 0.416
O 0.102 0.032 0.305
O 0.591 0.015 0.305
O 0.413 0.794 0.304
O 0.915 0.815 0.306
O 0.482 0.166 0.304
O 0.995 0.178 0.307
O 0.092 0.169 0.807
O 0.592 0.169 0.807
O 0.493 0.810 0.808
O 0.992 0.810 0.808
O 0.412 0.012 0.807
O 0.912 0.012 0.807
O 0.398 0.986 0.699
O 0.898 0.985 0.699
O 0.091 0.201 0.700
O 0.591 0.201 0.700
O 0.012 0.816 0.701
O 0.512 0.816 0.701
O 0.398 0.808 0.197
O 0.897 0.808 0.199
O 0.007 0.207 0.199
O 0.510 0.207 0.198
O 0.092 0.978 0.198
O 0.596 0.991 0.198
O 0.454 0.376 0.640
O 0.954 0.375 0.640
O 0.233 0.093 0.640
O 0.733 0.093 0.640
O 0.312 0.529 0.635
O 0.812 0.529 0.635
O 0.433 0.500 0.137
O 0.954 0.532 0.139
O 0.317 0.134 0.137
O 0.812 0.094 0.135
O 0.251 0.368 0.137
O 0.733 0.372 0.139
O 0.230 0.320 0.030
O 0.731 0.319 0.032
O 0.429 0.538 0.030
O 0.930 0.540 0.032
O 0.340 0.140 0.030
O 0.841 0.135 0.028
O 0.231 0.141 0.533
O 0.731 0.142 0.533
O 0.340 0.544 0.529
O 0.840 0.544 0.528
O 0.430 0.321 0.533
O 0.929 0.322 0.533
O 0.269 0.699 0.971
O 0.766 0.695 0.969
O 0.085 0.471 0.968
O 0.582 0.468 0.966
O 0.154 0.834 0.967
O 0.650 0.833 0.967
O 0.268 0.838 0.468
O 0.768 0.838 0.468
O 0.151 0.465 0.469
O 0.651 0.468 0.465
O 0.083 0.697 0.465
O 0.581 0.700 0.468
O 0.060 0.654 0.358
O 0.560 0.651 0.363
O 0.265 0.881 0.362
O 0.766 0.877 0.362
O 0.173 0.469 0.363
O 0.673 0.463 0.358
O 0.059 0.465 0.860
O 0.558 0.463 0.859
O 0.172 0.882 0.860
O 0.673 0.883 0.860
O 0.267 0.652 0.864
O 0.767 0.651 0.863
O 0.019 0.847 0.408
O 0.516 0.846 0.410
O 0.404 0.962 0.409
O 0.906 0.966 0.409
O 0.078 0.190 0.411
O 0.576 0.189 0.408
O 0.018 0.191 0.911
O 0.518 0.190 0.911
O 0.077 0.963 0.912
O 0.577 0.965 0.911
O 0.405 0.847 0.912
O 0.905 0.845 0.912
O 0.504 0.194 0.585
O 0.004 0.195 0.585
O 0.093 0.993 0.586
O 0.594 0.994 0.585
O 0.403 0.813 0.584
O 0.903 0.813 0.584
O 0.496 0.796 0.090
O 0.005 0.815 0.085
O 0.401 0.004 0.091
O 0.903 0.991 0.083
O 0.102 0.200 0.092
O 0.593 0.192 0.084
O 0.355 0.174 0.753
O 0.855 0.174 0.753
O 0.229 0.287 0.752
O 0.729 0.287 0.752
O 0.419 0.531 0.752
O 0.919 0.531 0.752
O 0.353 0.524 0.241
O 0.855 0.536 0.253
O 0.412 0.299 0.242
O 0.916 0.302 0.253
O 0.237 0.175 0.241
O 0.729 0.177 0.253
O 0.333 0.529 0.924
O 0.833 0.528 0.925
O 0.432 0.337 0.922
O 0.934 0.340 0.924
O 0.236 0.134 0.923
O 0.736 0.135 0.923
O 0.333 0.137 0.424
O 0.832 0.136 0.423
O 0.236 0.335 0.423
O 0.735 0.335 0.422
O 0.431 0.528 0.424
O 0.934 0.528 0.422
O 0.187 0.516 0.076
O 0.677 0.506 0.069
O 0.076 0.642 0.069
O 0.571 0.628 0.076
O 0.243 0.859 0.076
O 0.745 0.845 0.068
O 0.177 0.847 0.570
O 0.678 0.847 0.570
O 0.246 0.646 0.569
O 0.745 0.645 0.569
O 0.077 0.509 0.570
O 0.577 0.509 0.570
O 0.158 0.854 0.257
O 0.657 0.853 0.256
O 0.267 0.670 0.255
O 0.765 0.673 0.257
O 0.074 0.472 0.256
O 0.573 0.460 0.258
O 0.151 0.458 0.758
O 0.651 0.458 0.758
O 0.078 0.691 0.759
O 0.578 0.690 0.759
O 0.265 0.856 0.757
O 0.765 0.856 0.757

Computed properties:
Volume, Å³ per atom: 15.1
DFT formation energy, eV/atom: -3.027